KNdTiSnO6: optimized geometry, PBE.

## Properties
Spin magnetization: 0.0 μB per formula unit
Space group: F-43m

Unit cell a=5.663 b=5.663 c=5.663 alpha=60.00 beta=60.00 gamma=60.00
Fractional positions:
K 0.000 0.000 0.000
Nd 0.500 0.500 0.500
Ti 0.750 0.750 0.750
Sn 0.250 0.250 0.250
O 0.506 0.506 0.994
O 0.506 0.994 0.506
O 0.506 0.994 0.994
O 0.994 0.506 0.506
O 0.994 0.506 0.994
O 0.994 0.994 0.506

---

CaThBr6: optimized geometry, PBE.

## Properties
Spin magnetization: 0.0 μB per formula unit
Space group: Pmma

Unit cell a=9.221 b=4.180 c=13.808 alpha=90.00 beta=90.00 gamma=90.00
Fractional positions:
Ca 0.250 0.000 0.233
Ca 0.750 0.000 0.767
Th 0.250 0.500 0.742
Th 0.750 0.500 0.258
Br 0.054 0.500 0.343
Br 0.074 0.000 0.847
Br 0.250 0.000 0.593
Br 0.250 0.500 0.092
Br 0.426 0.000 0.847
Br 0.446 0.500 0.343
Br 0.554 0.500 0.657
Br 0.574 0.000 0.153
Br 0.750 0.000 0.407
Br 0.750 0.500 0.908
Br 0.926 0.000 0.153
Br 0.946 0.500 0.657

---

CaPdF6: optimized geometry, PBE.

## Properties
Space group: R-3

Unit cell a=5.812 b=5.812 c=5.812 alpha=55.04 beta=55.04 gamma=55.04
Fractional positions:
Ca 0.000 0.000 0.000
Pd 0.500 0.500 0.500
F 0.132 0.416 0.721
F 0.279 0.868 0.584
F 0.416 0.721 0.132
F 0.584 0.279 0.868
F 0.721 0.132 0.416
F 0.868 0.584 0.279

---

Na3CuO2: optimized geometry, PBE.

## Properties
Spin magnetization: 0.0 μB per formula unit
Space group: R-3c

Unit cell a=6.012 b=6.012 c=6.012 alpha=68.07 beta=68.07 gamma=68.07
Fractional positions:
Na 0.009 0.750 0.491
Na 0.250 0.509 0.991
Na 0.491 0.009 0.750
Na 0.509 0.991 0.250
Na 0.750 0.491 0.009
Na 0.991 0.250 0.509
Cu 0.000 0.000 0.000
Cu 0.500 0.500 0.500
O 0.131 0.131 0.131
O 0.369 0.369 0.369
O 0.631 0.631 0.631
O 0.869 0.869 0.869

---

Na2Y3Te4Cl3O12: optimized geometry, PBE.

## Properties
Spin magnetization: 0.0 μB per formula unit
Space group: C2/c

Unit cell a=12.393 b=12.393 c=16.825 alpha=132.49 beta=132.49 gamma=26.10
Fractional positions:
Na 0.060 0.608 0.926
Na 0.392 0.940 0.574
Na 0.608 0.060 0.426
Na 0.940 0.392 0.074
Y 0.248 0.750 0.914
Y 0.250 0.752 0.586
Y 0.251 0.749 0.250
Y 0.749 0.251 0.750
Y 0.750 0.248 0.414
Y 0.752 0.250 0.086
Te 0.072 0.663 0.303
Te 0.165 0.564 0.596
Te 0.337 0.928 0.197
Te 0.436 0.835 0.904
Te 0.564 0.165 0.096
Te 0.663 0.072 0.803
Te 0.835 0.436 0.404
Te 0.928 0.337 0.697
Cl 0.000 0.500 0.000
Cl 0.003 0.497 0.669
Cl 0.497 0.003 0.169
Cl 0.500 0.000 0.500
Cl 0.503 0.997 0.831
Cl 0.997 0.503 0.331
O 0.014 0.853 0.289
O 0.022 0.125 0.385
O 0.069 0.100 0.077
O 0.100 0.069 0.577
O 0.125 0.022 0.885
O 0.147 0.986 0.211
O 0.354 0.503 0.743
O 0.378 0.483 0.410
O 0.397 0.431 0.073
O 0.431 0.397 0.573
O 0.483 0.378 0.910
O 0.497 0.646 0.757
O 0.503 0.354 0.243
O 0.517 0.622 0.090
O 0.569 0.603 0.427
O 0.603 0.569 0.927
O 0.622 0.517 0.590
O 0.646 0.497 0.257
O 0.853 0.014 0.789
O 0.875 0.978 0.115
O 0.900 0.931 0.423
O 0.931 0.900 0.923
O 0.978 0.875 0.615
O 0.986 0.147 0.711

---

CdH16C4N2Cl4: optimized geometry, PBE.

## Properties
Spin magnetization: 0.0 μB per formula unit
Space group: Pbca

Unit cell a=7.484 b=22.708 c=7.596 alpha=90.00 beta=90.00 gamma=90.00
Fractional positions:
Cd 0.000 0.000 0.000
Cd 0.000 0.500 0.500
Cd 0.500 0.000 0.500
Cd 0.500 0.500 0.000
H 0.002 0.159 0.302
H 0.002 0.341 0.802
H 0.002 0.745 0.527
H 0.002 0.755 0.027
H 0.004 0.102 0.656
H 0.004 0.398 0.156
H 0.009 0.715 0.825
H 0.009 0.785 0.325
H 0.034 0.069 0.458
H 0.034 0.431 0.958
H 0.165 0.600 0.988
H 0.165 0.900 0.488
H 0.182 0.161 0.454
H 0.182 0.339 0.954
H 0.194 0.712 0.972
H 0.194 0.788 0.472
H 0.306 0.212 0.972
H 0.306 0.288 0.472
H 0.318 0.661 0.454
H 0.318 0.839 0.954
H 0.335 0.100 0.988
H 0.335 0.400 0.488
H 0.466 0.569 0.458
H 0.466 0.931 0.958
H 0.491 0.215 0.825
H 0.491 0.285 0.325
H 0.496 0.602 0.656
H 0.496 0.898 0.156
H 0.498 0.245 0.527
H 0.498 0.255 0.027
H 0.498 0.659 0.302
H 0.498 0.841 0.802
H 0.502 0.159 0.198
H 0.502 0.341 0.698
H 0.502 0.745 0.973
H 0.502 0.755 0.473
H 0.504 0.102 0.844
H 0.504 0.398 0.344
H 0.509 0.715 0.675
H 0.509 0.785 0.175
H 0.534 0.069 0.042
H 0.534 0.431 0.542
H 0.665 0.600 0.512
H 0.665 0.900 0.012
H 0.682 0.161 0.046
H 0.682 0.339 0.546
H 0.694 0.712 0.528
H 0.694 0.788 0.028
H 0.806 0.212 0.528
H 0.806 0.288 0.028
H 0.818 0.661 0.046
H 0.818 0.839 0.546
H 0.835 0.100 0.512
H 0.835 0.400 0.012
H 0.966 0.569 0.042
H 0.966 0.931 0.542
H 0.991 0.215 0.675
H 0.991 0.285 0.175
H 0.996 0.602 0.844
H 0.996 0.898 0.344
H 0.998 0.245 0.973
H 0.998 0.255 0.473
H 0.998 0.659 0.198
H 0.998 0.841 0.698
C 0.036 0.161 0.443
C 0.036 0.339 0.943
C 0.047 0.713 0.965
C 0.047 0.787 0.465
C 0.453 0.213 0.965
C 0.453 0.287 0.465
C 0.464 0.661 0.443
C 0.464 0.839 0.943
C 0.536 0.161 0.057
C 0.536 0.339 0.557
C 0.547 0.713 0.535
C 0.547 0.787 0.035
C 0.953 0.213 0.535
C 0.953 0.287 0.035
C 0.964 0.661 0.057
C 0.964 0.839 0.557
N 0.027 0.604 0.978
N 0.027 0.896 0.478
N 0.473 0.104 0.978
N 0.473 0.396 0.478
N 0.527 0.604 0.522
N 0.527 0.896 0.022
N 0.973 0.104 0.522
N 0.973 0.396 0.022
Cl 0.029 0.113 0.944
Cl 0.029 0.387 0.444
Cl 0.214 0.017 0.287
Cl 0.214 0.483 0.787
Cl 0.286 0.517 0.287
Cl 0.286 0.983 0.787
Cl 0.471 0.613 0.944
Cl 0.471 0.887 0.444
Cl 0.529 0.113 0.556
Cl 0.529 0.387 0.056
Cl 0.714 0.017 0.213
Cl 0.714 0.483 0.713
Cl 0.786 0.517 0.213
Cl 0.786 0.983 0.713
Cl 0.971 0.613 0.556
Cl 0.971 0.887 0.056

---

no.,E_form (meV per atom)
1,-2851
2,-2205
3,-2615
4,-1320
5,-2376
6,-541